The following is a DFT calculation (r2SCAN) of a relaxed structure of BaLaI4.

Output
total magnetization	0.0	μB per formula unit
DFT formation energy	-1860	meV per atom

```
data_BaLaI4
_chemical_formula_sum 'Ba4 La4 I16'
_symmetry_space_group_name_H-M 'C 1 2/c 1'
_symmetry_Int_Tables_number 15
_cell_length_a 10.503
_cell_length_b 15.284
_cell_length_c 7.532
_cell_angle_alpha 90.00
_cell_angle_beta 122.60
_cell_angle_gamma 90.00
loop_
_symmetry_equiv_pos_as_xyz
'x,y,z'
'-x,-y,-z'
'-x,y,-z+1/2'
'x,-y,z+1/2'
'x+1/2,y+1/2,z'
'-x+1/2,-y+1/2,-z'
'-x+1/2,y+1/2,-z+1/2'
'x+1/2,-y+1/2,z+1/2'
loop_
_atom_site_label
_atom_site_type_symbol
_atom_site_fract_x
_atom_site_fract_y
_atom_site_fract_z
_atom_site_occupancy
Ba1 Ba 0.000 0.135 0.250 1
La1 La 0.000 0.500 0.250 1
I1 I 0.116 0.326 0.585 1
I2 I 0.203 0.063 0.779 1
```

The following is a DFT calculation (r2SCAN) of a relaxed structure of Ba6Pr3I19.

Output
total magnetization	0.0	μB per formula unit
DFT formation energy	-1890	meV per atom

```
data_Ba6Pr3I19
_chemical_formula_sum 'Ba24 Pr12 I76'
_symmetry_space_group_name_H-M 'C 1 2/c 1'
_symmetry_Int_Tables_number 15
_cell_length_a 16.221
_cell_length_b 12.722
_cell_length_c 22.927
_cell_angle_alpha 90.00
_cell_angle_beta 94.81
_cell_angle_gamma 90.00
loop_
_symmetry_equiv_pos_as_xyz
'x,y,z'
'-x,-y,-z'
'-x,y,-z+1/2'
'x,-y,z+1/2'
'x+1/2,y+1/2,z'
'-x+1/2,-y+1/2,-z'
'-x+1/2,y+1/2,-z+1/2'
'x+1/2,-y+1/2,z+1/2'
loop_
_atom_site_label
_atom_site_type_symbol
_atom_site_fract_x
_atom_site_fract_y
_atom_site_fract_z
_atom_site_occupancy
Ba1 Ba 0.030 0.117 0.394 1
Ba2 Ba 0.161 0.427 0.962 1
Ba3 Ba 0.182 0.399 0.216 1
Pr1 Pr 0.000 0.246 0.750 1
Pr2 Pr 0.119 0.245 0.625 1
I1 I 0.000 0.246 0.250 1
I2 I 0.007 0.451 0.658 1
I3 I 0.042 0.343 0.496 1
I4 I 0.075 0.169 0.884 1
I5 I 0.112 0.041 0.715 1
I6 I 0.118 0.043 0.535 1
I7 I 0.173 0.244 0.086 1
I8 I 0.188 0.349 0.366 1
I9 I 0.194 0.330 0.756 1
I10 I 0.243 0.445 0.598 1
```

The following is a DFT calculation (r2SCAN) of a relaxed structure of RbBa2I5.

Output
total magnetization	0.0	μB per formula unit
DFT formation energy	-1980	meV per atom

```
data_RbBa2I5
_chemical_formula_sum 'Rb4 Ba8 I20'
_symmetry_space_group_name_H-M 'P 1 21/c 1'
_symmetry_Int_Tables_number 14
_cell_length_a 10.513
_cell_length_b 9.361
_cell_length_c 14.981
_cell_angle_alpha 90.00
_cell_angle_beta 90.05
_cell_angle_gamma 90.00
loop_
_symmetry_equiv_pos_as_xyz
'x,y,z'
'-x,-y,-z'
'-x,y+1/2,-z+1/2'
'x,-y+1/2,z+1/2'
loop_
_atom_site_label
_atom_site_type_symbol
_atom_site_fract_x
_atom_site_fract_y
_atom_site_fract_z
_atom_site_occupancy
Rb1 Rb 0.006 0.039 0.172 1
Ba1 Ba 0.248 0.576 0.008 1
Ba2 Ba 0.499 0.526 0.322 1
I1 I 0.041 0.170 0.407 1
I2 I 0.266 0.695 0.781 1
I3 I 0.274 0.540 0.502 1
I4 I 0.279 0.169 0.684 1
I5 I 0.458 0.164 0.402 1
```